(1)
K2NaFeO3 | PBE with a Hubbard U | relaxed

## Properties
electronic total energy = -4.911 eV/atom
calculated density = 2.858 g cm⁻³
DFT formation energy = -1.6913 eV per atom

Lattice parameters (Å, degrees): 6.347 9.303 9.303 73.46 70.05 70.05
Positions (direct):
K 0.921 0.329 0.329
K 0.421 0.829 0.829
K 0.579 0.171 0.171
K 0.079 0.671 0.671
K 0.500 0.250 0.750
K 0.000 0.750 0.250
K 0.000 0.250 0.750
K 0.500 0.750 0.250
Na 0.750 0.500 0.000
Na 0.250 0.000 0.500
Na 0.250 0.500 0.000
Na 0.750 0.000 0.500
Fe 0.667 0.583 0.583
Fe 0.833 0.917 0.917
Fe 0.167 0.083 0.083
Fe 0.333 0.417 0.417
O 0.500 0.000 0.000
O 0.000 0.500 0.500
O 0.000 0.000 0.000
O 0.500 0.500 0.500
O 0.407 0.486 0.200
O 0.907 0.986 0.700
O 0.907 0.700 0.986
O 0.407 0.200 0.486
O 0.593 0.514 0.800
O 0.093 0.014 0.300
O 0.093 0.300 0.014
O 0.593 0.800 0.514

---

(2)
Fe3P2O16 | PBE with a Hubbard U | relaxed

## Properties
electronic total energy = -6.137 eV/atom
calculated density = 2.913 g cm⁻³
DFT formation energy = -1.0867 eV per atom

Lattice parameters (Å, degrees): 7.897 7.897 4.761 75.68 75.68 92.85
Positions (direct):
Fe 0.000 0.000 0.000
Fe 0.629 0.371 0.000
Fe 0.371 0.629 0.000
P 0.327 0.327 0.675
P 0.673 0.673 0.325
O 0.179 0.179 0.739
O 0.821 0.821 0.261
O 0.394 0.394 0.315
O 0.606 0.606 0.685
O 0.256 0.479 0.805
O 0.479 0.256 0.805
O 0.744 0.521 0.195
O 0.521 0.744 0.195
O 0.887 0.182 0.229
O 0.182 0.887 0.229
O 0.113 0.818 0.771
O 0.818 0.113 0.771
O 0.162 0.717 0.276
O 0.717 0.162 0.276
O 0.838 0.283 0.724
O 0.283 0.838 0.724

---

(3)
CaEuVWO6 | PBE with a Hubbard U | relaxed

## Properties
electronic total energy = -8.090 eV/atom
calculated density = 6.730 g cm⁻³
DFT formation energy = -2.7164 eV per atom

Lattice parameters (Å, degrees): 5.672 5.672 5.672 60.00 60.00 60.00
Positions (direct):
Ca 0.750 0.750 0.750
Eu 0.250 0.250 0.250
V 0.000 0.000 0.000
W 0.500 0.500 0.500
O 0.743 0.257 0.257
O 0.257 0.743 0.743
O 0.743 0.257 0.743
O 0.257 0.743 0.257
O 0.743 0.743 0.257
O 0.257 0.257 0.743